No. 1
! UP3H10ClO8, relaxed, DFT GGA-PBE; values from VASP
! mass density	2.81	g/cm³
! electronic total energy	-529.0	eV per cell
! energy relative to the elements	-34.86	eV per formula unit
&SYSTEM
  ibrav = 0, nat = 92, ntyp = 5
/
ATOMIC_SPECIES
H 1.01 H.upf
O 16.00 O.upf
P 30.97 P.upf
U 238.03 U.upf
Cl 35.45 Cl.upf
CELL_PARAMETERS angstrom
7.7393 0.0000 0.0000
0.0000 10.2987 0.0000
0.0000 0.0000 14.9605
ATOMIC_POSITIONS angstrom
H 0.5395 3.7173 7.1500
H 4.6812 4.5794 6.2468
H 2.0794 8.6700 12.3467
H 5.4876 6.0248 9.1594
H 3.0582 5.7192 8.7137
H 0.5395 1.4321 7.8105
H 3.2800 4.1269 8.7032
H 2.2517 0.8754 13.2814
H 0.5395 3.7173 0.3302
H 5.4876 6.0248 13.2814
H 2.2517 4.2739 1.6791
H 7.1999 6.5814 14.6303
H 7.1999 8.8666 7.1500
H 5.6600 1.6286 4.8664
H 5.4876 9.4232 5.8011
H 3.2800 1.0224 1.2230
H 3.0582 5.7192 13.7271
H 3.0582 9.7287 6.2468
H 4.6812 4.5794 1.2334
H 5.6600 3.5207 10.0941
H 2.0794 6.7779 4.8664
H 5.4876 9.4232 1.6791
H 4.6812 0.5699 13.7271
H 3.0582 9.7287 1.2334
H 5.6600 1.6286 2.6138
H 3.2800 1.0224 6.2573
H 4.4593 9.2763 13.7375
H 4.4593 6.1717 6.2573
H 2.0794 6.7779 2.6138
H 3.2800 4.1269 13.7375
H 2.2517 4.2739 5.8011
H 7.1999 6.5814 7.8105
H 5.6600 3.5207 12.3467
H 7.1999 8.8666 0.3302
H 4.4593 9.2763 8.7032
H 2.2517 0.8754 9.1594
H 0.5395 1.4321 14.6303
H 4.6812 0.5699 8.7137
H 2.0794 8.6700 10.0941
H 4.4593 6.1717 1.2230
O 5.0359 5.4359 5.9190
O 4.1884 8.4514 11.2204
O 0.0618 0.2580 9.8250
O 5.3570 1.4444 11.2204
O 4.1884 6.9966 3.7401
O 7.6776 5.4073 12.6157
O 6.8490 7.5656 5.1700
O 0.0618 4.8913 5.1355
O 0.8904 2.4163 5.1700
O 5.0359 10.0121 9.0415
O 0.0618 0.2580 12.6157
O 5.0359 10.0121 13.3993
O 6.8490 7.8824 12.6503
O 2.7034 4.8628 13.3993
O 3.5509 3.3021 11.2204
O 6.8490 7.8824 9.7905
O 0.8904 2.4163 2.3102
O 2.7034 0.2865 5.9190
O 2.7034 4.8628 9.0415
O 5.3570 3.7050 3.7401
O 6.8490 7.5656 2.3102
O 0.8904 2.7331 12.6503
O 0.0618 4.8913 2.3448
O 7.6776 5.4073 9.8250
O 5.0359 5.4359 1.5612
O 0.8904 2.7331 9.7905
O 7.6776 10.0407 5.1355
O 7.6776 10.0407 2.3448
O 2.7034 0.2865 1.5612
O 2.3823 6.5937 11.2204
O 3.5509 1.8472 3.7401
O 2.3823 8.8543 3.7401
P 5.0362 2.9396 11.2204
P 0.9164 1.3368 13.2709
P 2.7031 7.3591 3.7401
P 0.9164 3.8125 5.7907
P 0.9164 3.8125 1.6896
P 6.8229 6.4861 13.2709
P 6.8229 8.9618 1.6896
P 6.8229 8.9618 5.7907
P 6.8229 6.4861 9.1698
P 5.0362 2.2098 3.7401
P 0.9164 1.3368 9.1698
P 2.7031 8.0889 11.2204
U 6.2080 5.8268 3.7401
U 1.5313 0.6775 3.7401
U 1.5313 4.4718 11.2204
U 6.2080 9.6212 11.2204
Cl 3.4198 7.7240 0.0000
Cl 3.4198 7.7240 7.4802
Cl 4.3195 2.5747 7.4802
Cl 4.3195 2.5747 0.0000

No. 2
! HPbClO, relaxed, DFT GGA-PBE; values from VASP
! mass density	5.89	g/cm³
! electronic total energy	-37.0	eV per cell
! energy relative to the elements	-5.26	eV per formula unit
&SYSTEM
  ibrav = 0, nat = 8, ntyp = 4
/
ATOMIC_SPECIES
Pb 207.20 Pb.upf
H 1.01 H.upf
O 16.00 O.upf
Cl 35.45 Cl.upf
CELL_PARAMETERS angstrom
-5.0832 -0.6376 2.8155
-2.9297 -4.0705 3.0034
0.3599 0.6287 7.3591
ATOMIC_POSITIONS angstrom
Pb -1.1285 -0.3464 6.6025
Pb -6.5245 -3.7330 6.5754
H -6.8847 -3.7955 9.5599
H -0.7683 -0.2839 3.6181
O -1.4402 -0.6729 4.2112
O -6.2128 -3.4065 8.9668
Cl -3.1832 -1.5316 8.4978
Cl -4.4698 -2.5478 4.6801

No. 3
! HPb3ClO3, relaxed, DFT GGA-PBE; values from VASP
! mass density	7.24	g/cm³
! electronic total energy	-161.5	eV per cell
! energy relative to the elements	-11.22	eV per formula unit
&SYSTEM
  ibrav = 0, nat = 32, ntyp = 4
/
ATOMIC_SPECIES
Pb 207.20 Pb.upf
O 16.00 O.upf
Cl 35.45 Cl.upf
H 1.01 H.upf
CELL_PARAMETERS angstrom
-1.7813 -3.0549 4.7739
-3.1305 -4.6747 -4.1595
13.1280 -8.3791 -0.4634
ATOMIC_POSITIONS angstrom
Pb 11.1029 -9.6815 -2.0525
Pb -2.5892 -5.1753 -0.5811
Pb 7.7947 -10.9760 -0.4185
Pb 7.2237 -7.7282 -2.2500
Pb 4.4056 -10.1985 -1.1856
Pb 5.2843 -7.4094 0.9270
Pb 3.3587 -2.6326 -0.4314
Pb -0.3247 -3.2708 1.4825
Pb 1.7642 -5.9897 0.5221
Pb 7.2509 -10.8119 -4.2131
Pb 0.4544 -3.8452 -2.2910
Pb 3.8432 -6.5308 -2.7451
O 6.6715 -10.0787 -2.1134
O 0.5645 -5.4043 2.2990
O 7.1702 -8.8833 0.6876
O -0.4499 -6.2706 -0.4838
O 5.7801 -11.6075 0.2756
O -2.2165 -4.7936 1.6534
O -1.3245 -3.2638 -0.7373
O 4.9829 -7.8366 -1.3100
O 4.0908 -9.3664 1.0807
O 1.4559 -3.8755 -0.0900
O 9.4659 -10.7982 -3.3779
O 4.2344 -4.6189 -1.3757
Cl 10.2784 -9.0113 1.7654
Cl 0.9171 -8.9989 -1.7196
Cl -2.2483 -5.0463 -4.0681
Cl 7.2666 -4.8294 -0.3790
H 5.1648 -4.6570 -1.0529
H 8.0015 -8.6356 1.1563
H -0.3487 -7.1134 -0.9854
H 9.8749 -11.6150 -3.7479

No. 4
! HPbClO, relaxed, DFT GGA-PBE; values from VASP
! mass density	5.92	g/cm³
! electronic total energy	-73.9	eV per cell
! energy relative to the elements	-5.25	eV per formula unit
&SYSTEM
  ibrav = 0, nat = 16, ntyp = 4
/
ATOMIC_SPECIES
O 16.00 O.upf
Cl 35.45 Cl.upf
Pb 207.20 Pb.upf
H 1.01 H.upf
CELL_PARAMETERS angstrom
4.0697 0.0000 0.0000
0.0000 7.1854 0.0000
0.0000 0.0000 9.9575
ATOMIC_POSITIONS angstrom
O 3.0523 2.6581 4.5927
O 1.0174 4.5273 5.3648
O 3.0523 6.2507 0.3860
O 1.0174 0.9346 9.5715
Cl 1.0174 4.0156 1.7721
Cl 3.0523 6.7625 6.7508
Cl 1.0174 0.4229 3.2067
Cl 3.0523 3.1698 8.1854
Pb 3.0523 5.0408 4.0921
Pb 1.0174 5.7372 9.0709
Pb 3.0523 1.4482 0.8866
Pb 1.0174 2.1445 5.8654
H 3.0523 2.0162 3.8572
H 3.0523 5.6088 1.1216
H 1.0174 1.5765 8.8360
H 1.0174 5.1692 6.1003

No. 5
! Rb3TeH6Cl3O6, relaxed, DFT GGA-PBE; values from VASP
! mass density	2.91	g/cm³
! electronic total energy	-172.2	eV per cell
! energy relative to the elements	-28.52	eV per formula unit
&SYSTEM
  ibrav = 0, nat = 38, ntyp = 5
/
ATOMIC_SPECIES
O 16.00 O.upf
Te 127.60 Te.upf
Rb 85.47 Rb.upf
H 1.01 H.upf
Cl 35.45 Cl.upf
CELL_PARAMETERS angstrom
5.3757 7.3372 -1.7460
-8.7287 3.0924 -0.1682
1.7127 -2.4303 8.7717
ATOMIC_POSITIONS angstrom
O -0.3053 -0.2689 1.9138
O -0.0370 4.0583 5.2208
O -2.9378 6.5691 6.5422
O 0.9513 3.4931 2.7702
O -1.6033 3.9410 1.6367
O -1.4888 1.2603 -0.1532
O -2.5916 4.5062 4.0873
O 1.2975 1.4301 0.3152
O -0.3284 5.8560 3.0540
O -1.3119 2.1433 3.8034
O -0.1515 6.7389 7.0106
O -1.3350 8.2682 4.9436
Te -0.8201 3.9996 3.4287
Te 0.0000 0.0000 0.0000
Rb 2.7549 5.4161 1.2498
Rb -1.4421 7.4086 0.6851
Rb 2.9668 4.0070 5.7077
Rb -4.6071 3.9923 1.1497
Rb -0.1982 0.5907 6.1723
Rb -4.3952 2.5832 5.6076
H -2.0476 1.2225 0.6759
H 0.8809 2.3147 0.1024
H -1.9551 1.8193 3.1088
H 1.1384 2.5395 3.0086
H -0.8745 3.8890 0.9530
H -2.5212 5.6846 6.7550
H 0.3148 6.1799 3.7486
H 0.4074 6.7768 6.1815
H 0.3975 0.2139 2.4373
H -0.7658 4.1103 5.9044
H -2.7787 5.4598 3.8488
H -2.0378 7.7853 4.4201
Cl 2.0499 6.9866 4.7761
Cl -3.6902 1.0127 2.0813
Cl 2.0181 0.7155 3.7934
Cl -3.6584 7.2838 3.0641
Cl -2.0821 3.7280 7.5890
Cl 0.4418 4.2713 -0.7316

No. 6
! Rb2UH4Cl4O4, relaxed, DFT GGA-PBE; values from VASP
! mass density	3.10	g/cm³
! electronic total energy	-80.4	eV per cell
! energy relative to the elements	-29.11	eV per formula unit
&SYSTEM
  ibrav = 0, nat = 15, ntyp = 5
/
ATOMIC_SPECIES
H 1.01 H.upf
O 16.00 O.upf
Rb 85.47 Rb.upf
Cl 35.45 Cl.upf
U 238.03 U.upf
CELL_PARAMETERS angstrom
0.0660 -6.6567 -2.8578
6.1716 3.2113 1.7044
-1.3914 -1.7119 7.2137
ATOMIC_POSITIONS angstrom
H 4.7134 -1.8415 -0.0134
H 0.8016 -1.9297 5.9790
H 0.1328 -3.3158 6.0735
H 4.0445 -3.2276 0.0811
O 0.0509 -2.3921 6.3977
O 5.4895 -2.5974 3.0677
O 4.7953 -2.7653 -0.3376
O -0.6434 -2.5599 2.9924
Rb 3.6749 -5.0330 4.0252
Rb 1.1713 -0.1243 2.0350
Cl 1.8653 -3.8364 1.3490
Cl 0.2974 -5.2916 4.4118
Cl 2.9809 -1.3210 4.7112
Cl 4.5488 0.1343 1.6484
U -0.6627 -4.1843 2.1779